[1]
# LiMn2P3O12

An optimized crystal structure of LiMn2P3O12 (PBE+U, the Materials Project).

abc: 8.4976 8.4976 6.1882
angles: 105.75 105.75 91.72
Fractional coordinates of all 36 atoms:
Li: 0.0000 0.0000 0.0000
Li: 0.0000 0.0000 0.5000
Mn: 0.1200 0.4406 0.8627
Mn: 0.4406 0.1200 0.3627
Mn: 0.5594 0.8800 0.6373
Mn: 0.8800 0.5594 0.1373
P: 0.1479 0.3389 0.3587
P: 0.2241 0.7759 0.2500
P: 0.3389 0.1479 0.8587
P: 0.6611 0.8521 0.1413
P: 0.7759 0.2241 0.7500
P: 0.8521 0.6611 0.6413
O: 0.0385 0.1831 0.2875
O: 0.0463 0.7533 0.2737
O: 0.0899 0.4407 0.1700
O: 0.1439 0.4691 0.5898
O: 0.1831 0.0385 0.7875
O: 0.2429 0.6492 0.0260
O: 0.2467 0.9537 0.2263
O: 0.3110 0.3330 0.8917
O: 0.3330 0.3110 0.3917
O: 0.3508 0.7571 0.4740
O: 0.4407 0.0899 0.6700
O: 0.4691 0.1439 0.0898
O: 0.5309 0.8561 0.9102
O: 0.5593 0.9101 0.3300
O: 0.6492 0.2429 0.5260
O: 0.6670 0.6890 0.6083
O: 0.6890 0.6670 0.1083
O: 0.7533 0.0463 0.7737
O: 0.7571 0.3508 0.9740
O: 0.8169 0.9615 0.2125
O: 0.8561 0.5309 0.4102
O: 0.9101 0.5593 0.8300
O: 0.9537 0.2467 0.7263
O: 0.9615 0.8169 0.7125

---

[2]
# LiMnPO4

An optimized crystal structure of LiMnPO4 (PBE+U, the Materials Project).

abc: 10.2379 10.2379 16.7739
angles: 97.90 97.90 59.07
Fractional coordinates of all 112 atoms:
Li: 0.0524 0.1817 0.7487
Li: 0.0564 0.9436 0.5000
Li: 0.1165 0.4417 0.4992
Li: 0.1817 0.0524 0.2487
Li: 0.1892 0.5516 0.2483
Li: 0.4417 0.1165 0.9992
Li: 0.4416 0.6159 0.9980
Li: 0.4994 0.6833 0.7473
Li: 0.5516 0.1892 0.7483
Li: 0.5587 0.9416 0.4994
Li: 0.6159 0.4416 0.4980
Li: 0.6776 0.9991 0.2496
Li: 0.6833 0.4993 0.2473
Li: 0.9416 0.5587 0.9994
Li: 0.9436 0.0564 0.0000
Li: 0.9991 0.6776 0.7496
Mn: 0.2458 0.8763 0.8746
Mn: 0.2520 0.3755 0.8752
Mn: 0.3125 0.9872 0.6240
Mn: 0.3734 0.4861 0.6238
Mn: 0.3755 0.2520 0.3752
Mn: 0.4304 0.7527 0.3750
Mn: 0.4861 0.3734 0.1238
Mn: 0.4891 0.8712 0.1245
Mn: 0.7478 0.9302 0.8759
Mn: 0.7527 0.4304 0.8750
Mn: 0.8122 0.9888 0.6258
Mn: 0.8712 0.4891 0.6245
Mn: 0.8763 0.2458 0.3746
Mn: 0.9302 0.7478 0.3759
Mn: 0.9872 0.3125 0.1240
Mn: 0.9888 0.8122 0.1258
P: 0.0886 0.7186 0.9377
P: 0.0901 0.2203 0.9371
P: 0.1550 0.8402 0.6871
P: 0.2103 0.3401 0.6858
P: 0.2203 0.0901 0.4371
P: 0.2744 0.5902 0.4359
P: 0.3401 0.2103 0.1858
P: 0.3415 0.7114 0.1852
P: 0.5865 0.7741 0.9357
P: 0.5902 0.2744 0.9359
P: 0.6562 0.8429 0.6872
P: 0.7114 0.3415 0.6852
P: 0.7186 0.0886 0.4377
P: 0.7741 0.5865 0.4357
P: 0.8402 0.1550 0.1871
P: 0.8429 0.6562 0.1872
O: 0.0087 0.3404 0.0078
O: 0.0114 0.8381 0.0093
O: 0.0156 0.8164 0.6785
O: 0.0635 0.1136 0.4536
O: 0.0995 0.4150 0.6110
O: 0.1136 0.0636 0.9536
O: 0.1148 0.5609 0.9543
O: 0.1283 0.7495 0.4273
O: 0.1463 0.4525 0.7618
O: 0.1474 0.9538 0.7611
O: 0.1559 0.9100 0.6104
O: 0.1878 0.2202 0.1988
O: 0.1905 0.7207 0.2004
O: 0.2032 0.2469 0.4271
O: 0.2202 0.1878 0.6988
O: 0.2443 0.7020 0.9253
O: 0.2469 0.2032 0.9271
O: 0.2701 0.5114 0.5080
O: 0.2793 0.9843 0.3584
O: 0.2796 0.4844 0.3585
O: 0.3050 0.6850 0.6997
O: 0.3108 0.3710 0.1729
O: 0.3105 0.8727 0.1727
O: 0.3404 0.0087 0.5078
O: 0.3710 0.3108 0.6729
O: 0.4115 0.6014 0.1093
O: 0.4150 0.0995 0.1110
O: 0.4171 0.6091 0.4484
O: 0.4525 0.1463 0.2618
O: 0.4599 0.6452 0.2588
O: 0.4786 0.7767 0.8599
O: 0.4844 0.2796 0.8585
O: 0.5114 0.2701 0.0080
O: 0.5134 0.7670 0.0093
O: 0.5151 0.8219 0.6796
O: 0.5609 0.1148 0.4543
O: 0.6014 0.4115 0.6093
O: 0.6012 0.9193 0.9471
O: 0.6091 0.4171 0.9484
O: 0.6314 0.7477 0.4258
O: 0.6452 0.4599 0.7588
O: 0.6493 0.9611 0.7582
O: 0.6597 0.9065 0.6086
O: 0.6850 0.3050 0.1997
O: 0.6867 0.8036 0.2013
O: 0.7020 0.2443 0.4253
O: 0.7207 0.1905 0.7004
O: 0.7477 0.6314 0.9258
O: 0.7495 0.1283 0.9273
O: 0.7670 0.5134 0.5093
O: 0.7767 0.4786 0.3599
O: 0.7778 0.9782 0.3606
O: 0.8036 0.6867 0.7013
O: 0.8164 0.0156 0.1785
O: 0.8219 0.5151 0.1795
O: 0.8381 0.0114 0.5093
O: 0.8727 0.3105 0.6727
O: 0.9065 0.6597 0.1086
O: 0.9100 0.1559 0.1104
O: 0.9193 0.6012 0.4471
O: 0.9538 0.1474 0.2611
O: 0.9611 0.6493 0.2582
O: 0.9782 0.7778 0.8606
O: 0.9843 0.2793 0.8584

---

[3]
# Li2Mn2P2O9

An optimized crystal structure of Li2Mn2P2O9 (PBE+U, the Materials Project).

abc: 8.3807 5.6484 15.0417
angles: 90.00 90.00 90.00
Fractional coordinates of all 60 atoms:
Li: 0.0595 0.2500 0.1292
Li: 0.0603 0.2500 0.7599
Li: 0.4397 0.7500 0.2599
Li: 0.4405 0.7500 0.6292
Li: 0.5595 0.2500 0.3708
Li: 0.5603 0.2500 0.7401
Li: 0.9397 0.7500 0.2401
Li: 0.9405 0.7500 0.8708
Mn: 0.0000 0.0000 0.5000
Mn: 0.0000 0.5000 0.5000
Mn: 0.2039 0.2500 0.9392
Mn: 0.2961 0.7500 0.4392
Mn: 0.5000 0.0000 0.0000
Mn: 0.5000 0.5000 0.0000
Mn: 0.7039 0.2500 0.5608
Mn: 0.7961 0.7500 0.0608
P: 0.1690 0.7500 0.0768
P: 0.2099 0.2500 0.3348
P: 0.2901 0.7500 0.8348
P: 0.3310 0.2500 0.5768
P: 0.6690 0.7500 0.4232
P: 0.7099 0.2500 0.1652
P: 0.7901 0.7500 0.6652
P: 0.8310 0.2500 0.9232
O: 0.0092 0.7500 0.0221
O: 0.0689 0.7500 0.4254
O: 0.0749 0.2500 0.4111
O: 0.1263 0.2500 0.2474
O: 0.1422 0.7500 0.1759
O: 0.1798 0.5272 0.8504
O: 0.1798 0.9728 0.8504
O: 0.2414 0.0175 0.5471
O: 0.2414 0.4825 0.5471
O: 0.2586 0.5175 0.0471
O: 0.2586 0.9825 0.0471
O: 0.3202 0.0272 0.3504
O: 0.3202 0.4728 0.3504
O: 0.3578 0.2500 0.6759
O: 0.3737 0.7500 0.7474
O: 0.4251 0.7500 0.9111
O: 0.4311 0.2500 0.9254
O: 0.4908 0.2500 0.5221
O: 0.5092 0.7500 0.4779
O: 0.5689 0.7500 0.0746
O: 0.5749 0.2500 0.0889
O: 0.6263 0.2500 0.2526
O: 0.6422 0.7500 0.3241
O: 0.6798 0.5272 0.6496
O: 0.6798 0.9728 0.6496
O: 0.7414 0.0175 0.9529
O: 0.7414 0.4825 0.9529
O: 0.7586 0.5175 0.4529
O: 0.7586 0.9825 0.4529
O: 0.8202 0.0272 0.1496
O: 0.8202 0.4728 0.1496
O: 0.8578 0.2500 0.8241
O: 0.8737 0.7500 0.7526
O: 0.9251 0.7500 0.5889
O: 0.9311 0.2500 0.5746
O: 0.9908 0.2500 0.9779

---

no.,VASP energy (eV/atom),ΔE_f (eV per atom)
1,-6.98,-2.30
2,-6.45,-1.90
3,-6.97,-2.43